Crystalline CeSe2 at its relaxed geometry. Source: the Materials Project database, functional PBE-GGA.

Values from the calculation:
As for the energy: -64.724 eV/cell. The value obtained for the formation energy is -1400.0 meV/atom.

Geometry as CIF:
```
data_CeSe2
_cell_length_a 8.501
_cell_length_b 8.501
_cell_length_c 11.841
_cell_angle_alpha 90.00
_cell_angle_beta 90.00
_cell_angle_gamma 90.00
_space_group_name_H-M_alt 'P 41 21 2'
_space_group_IT_number 92
loop_
_space_group_symop_operation_xyz
'x,y,z'
'-y+1/2,x+1/2,z+1/4'
'-x,-y,z+1/2'
'y+1/2,-x+1/2,z+3/4'
'x+1/2,-y+1/2,-z+3/4'
'-y,-x,-z+1/2'
'-x+1/2,y+1/2,-z+1/4'
'y,x,-z'
loop_
_atom_site_label
_atom_site_type_symbol
_atom_site_fract_x
_atom_site_fract_y
_atom_site_fract_z
Ce1 Ce 0.200 0.200 0.000
Se1 Se 0.099 0.755 0.424
```